(1)
CsMg6Cu: relaxed, PBE.

abc: 5.169 7.207 11.576
angles: 90.00 90.00 90.00
Space group Amm2 (No. 38)
Symmetry-distinct sites (fractional):
Cs: 0.000 0.000 0.000 (multiplicity 2)
Mg: 0.000 0.000 0.474 (multiplicity 2)
Mg: 0.000 0.247 0.239 (multiplicity 4)
Mg: 0.500 0.000 0.651 (multiplicity 2)
Mg: 0.500 0.216 0.373 (multiplicity 4)
Cu: 0.500 0.000 0.192 (multiplicity 2)

Summary:
Size of the total moment ... 0.0 Bohr magnetons per cell
Excess energy over the best structure of this formula in the dataset ... 12.26 kJ/mol of atoms

(2)
CsMg14Cu: relaxed, PBE.

abc: 6.4883 6.4883 10.7706
angles: 90.00 90.00 120.00
Space group P-6m2 (No. 187)
Symmetry-distinct sites (fractional):
Cs: 0.0000 0.0000 0.0000 (multiplicity 1)
Mg: 0.0060 0.5030 0.0000 (multiplicity 3)
Mg: 0.1662 0.3323 0.2824 (multiplicity 6)
Mg: 0.5061 0.0123 0.5000 (multiplicity 3)
Mg: 0.6667 0.3333 0.2442 (multiplicity 2)
Cu: 0.0000 0.0000 0.5000 (multiplicity 1)

Summary:
Size of the total moment ... 0.0 Bohr magnetons per cell
Excess energy over the best structure of this formula in the dataset ... 0.87 kJ/mol of atoms

(3)
CsMnCu3Se4: relaxed, PBE.

abc: 6.254 6.254 6.254
angles: 90.00 90.00 90.00
Space group P-43m (No. 215)
Symmetry-distinct sites (fractional):
Cs: 0.000 0.000 0.000 (multiplicity 1)
Mn: 0.500 0.500 0.500 (multiplicity 1)
Cu: 0.000 0.500 0.500 (multiplicity 3)
Se: 0.287 0.287 0.713 (multiplicity 4)

Summary:
Size of the total moment ... 3.0 Bohr magnetons per cell
Total energy after the MP2020 corrections ... -4.52 eV/atom

(4)
CsCuN: relaxed, PBE.

abc: 5.5333 5.5333 3.5244
angles: 90.00 90.00 120.00
Space group P-6m2 (No. 187)
Symmetry-distinct sites (fractional):
Cs: 0.0000 0.0000 0.0000 (multiplicity 1)
Cu: 0.6667 0.3333 0.5000 (multiplicity 1)
N: 0.6667 0.3333 0.0000 (multiplicity 1)

Summary:
Size of the total moment ... 0.0 Bohr magnetons per cell
Total energy after the MP2020 corrections ... -4.24 eV/atom
Excess energy over the best structure of this formula in the dataset ... 0.00 kJ/mol of atoms

(5)
CsCuN: relaxed, PBE.

abc: 11.601 3.614 6.550
angles: 90.00 90.00 90.00
Space group Pnma (No. 62)
Symmetry-distinct sites (fractional):
Cs: 0.158 0.250 0.071 (multiplicity 4)
Cu: 0.058 0.250 0.593 (multiplicity 4)
N: 0.074 0.750 0.638 (multiplicity 4)

Summary:
Size of the total moment ... 0.0 Bohr magnetons per cell
Total energy after the MP2020 corrections ... -4.22 eV/atom
Excess energy over the best structure of this formula in the dataset ... 2.41 kJ/mol of atoms

(6)
CsNpCuS3: relaxed, PBE.

abc: 4.022 15.481 10.199
angles: 90.00 90.00 90.00
Space group Cmcm (No. 63)
Symmetry-distinct sites (fractional):
Cs: 0.000 0.240 0.250 (multiplicity 4)
Np: 0.000 0.500 0.000 (multiplicity 4)
Cu: 0.000 0.035 0.750 (multiplicity 4)
S: 0.000 0.112 0.558 (multiplicity 8)
S: 0.000 0.449 0.750 (multiplicity 4)

Summary:
Size of the total moment ... 12.0 Bohr magnetons per cell
Total energy after the MP2020 corrections ... -6.50 eV/atom

(7)
Cs3Cu5O4: relaxed, PBE.

abc: 10.432 7.652 14.907
angles: 90.00 106.24 90.00
Space group P2_1/c (No. 14)
Symmetry-distinct sites (fractional):
Cs: 0.103 0.172 0.094 (multiplicity 4)
Cs: 0.277 0.701 0.083 (multiplicity 4)
Cs: 0.322 0.091 0.892 (multiplicity 4)
Cu: 0.064 0.675 0.740 (multiplicity 4)
Cu: 0.066 0.079 0.371 (multiplicity 4)
Cu: 0.294 0.564 0.856 (multiplicity 4)
Cu: 0.429 0.043 0.232 (multiplicity 4)
Cu: 0.471 0.206 0.627 (multiplicity 4)
O: 0.004 0.203 0.886 (multiplicity 4)
O: 0.133 0.646 0.869 (multiplicity 4)
O: 0.398 0.074 0.106 (multiplicity 4)
O: 0.462 0.020 0.360 (multiplicity 4)

Summary:
Total energy after the MP2020 corrections ... -4.67 eV/atom

(8)
Cs2CuO2: relaxed, PBE.

abc: 4.822 4.822 10.559
angles: 90.00 90.00 90.00
Space group I4/mmm (No. 139)
Symmetry-distinct sites (fractional):
Cs: 0.000 0.500 0.250 (multiplicity 4)
Cu: 0.000 0.000 0.000 (multiplicity 2)
O: 0.000 0.500 0.000 (multiplicity 4)

Summary:
Size of the total moment ... 1.5 Bohr magnetons per cell
Total energy after the MP2020 corrections ... -3.41 eV/atom

(9)
Cs2CuP2O7: relaxed, PBE.

abc: 7.558 13.144 10.104
angles: 90.00 111.93 90.00
Space group Cc (No. 9)
Symmetry-distinct sites (fractional):
Cs: 0.000 0.044 0.000 (multiplicity 4)
Cs: 0.116 0.291 0.681 (multiplicity 4)
Cu: 0.030 0.382 0.158 (multiplicity 4)
P: 0.240 0.201 0.367 (multiplicity 4)
P: 0.396 0.006 0.862 (multiplicity 4)
O: 0.049 0.169 0.370 (multiplicity 4)
O: 0.073 0.473 0.324 (multiplicity 4)
O: 0.233 0.079 0.792 (multiplicity 4)
O: 0.238 0.291 0.268 (multiplicity 4)
O: 0.326 0.109 0.297 (multiplicity 4)
O: 0.397 0.220 0.516 (multiplicity 4)
O: 0.451 0.002 0.525 (multiplicity 4)

Summary:
Size of the total moment ... 4.0 Bohr magnetons per cell
Total energy after the MP2020 corrections ... -6.69 eV/atom

(10)
CsCuPS3: relaxed, PBE.

abc: 9.717 13.221 10.702
angles: 90.00 105.99 90.00
Space group P2_1/c (No. 14)
Symmetry-distinct sites (fractional):
Cs: 0.111 0.184 0.118 (multiplicity 4)
Cs: 0.363 0.651 0.827 (multiplicity 4)
Cu: 0.048 0.044 0.404 (multiplicity 4)
Cu: 0.481 0.598 0.456 (multiplicity 4)
P: 0.219 0.036 0.833 (multiplicity 4)
P: 0.283 0.541 0.166 (multiplicity 4)
S: 0.008 0.072 0.759 (multiplicity 4)
S: 0.135 0.654 0.109 (multiplicity 4)
S: 0.258 0.570 0.477 (multiplicity 4)
S: 0.276 0.064 0.525 (multiplicity 4)
S: 0.340 0.165 0.884 (multiplicity 4)
S: 0.487 0.593 0.245 (multiplicity 4)

Summary:
Size of the total moment ... 0.0 Bohr magnetons per cell
Total energy after the MP2020 corrections ... -4.70 eV/atom

(11)
CsCuS6: relaxed, PBE.

abc: 7.585 10.944 11.561
angles: 73.61 83.76 77.93
Space group P-1 (No. 2)
Symmetry-distinct sites (fractional):
Cs: 0.169 0.303 0.421 (multiplicity 2)
Cs: 0.319 0.698 0.072 (multiplicity 2)
Cu: 0.153 0.498 0.871 (multiplicity 2)
Cu: 0.399 0.506 0.613 (multiplicity 2)
S: 0.108 0.207 0.763 (multiplicity 2)
S: 0.148 0.397 0.073 (multiplicity 2)
S: 0.160 0.397 0.720 (multiplicity 2)
S: 0.168 0.085 0.060 (multiplicity 2)
S: 0.197 0.798 0.729 (multiplicity 2)
S: 0.221 0.930 0.432 (multiplicity 2)
S: 0.286 0.084 0.887 (multiplicity 2)
S: 0.288 0.205 0.125 (multiplicity 2)
S: 0.317 0.928 0.597 (multiplicity 2)
S: 0.320 0.620 0.417 (multiplicity 2)
S: 0.368 0.614 0.762 (multiplicity 2)
S: 0.405 0.799 0.362 (multiplicity 2)

Summary:
Total energy after the MP2020 corrections ... -4.42 eV/atom

(12)
CsCuS4: relaxed, PBE.

abc: 5.280 9.079 13.956
angles: 90.00 90.00 90.00
Space group P2_12_12_1 (No. 19)
Symmetry-distinct sites (fractional):
Cs: 0.178 0.081 0.338 (multiplicity 4)
Cu: 0.035 0.145 0.062 (multiplicity 4)
S: 0.060 0.561 0.925 (multiplicity 4)
S: 0.116 0.709 0.589 (multiplicity 4)
S: 0.150 0.359 0.854 (multiplicity 4)
S: 0.179 0.912 0.099 (multiplicity 4)

Summary:
Total energy after the MP2020 corrections ... -4.36 eV/atom

How do the records compare in energy relative to the elements? In the order shown, they have 2.73, 3.26, -4.36, 0.61, 0.68, -8.63, -13.02, -1.25, -28.90, -5.37, -5.56, -4.62 eV per formula unit.